[1]
Density functional theory data (PBE-GGA) for KMnC3N3 after structural relaxation.

Lattice parameters (Å, degrees): 6.709 7.100 11.805 90.00 124.15 90.00
Element x y z (fractional)
K  0.228  0.068  0.249
K  0.228  0.432  0.749
K  0.772  0.568  0.251
K  0.772  0.932  0.751
Mn  0.000  0.000  0.500
Mn  0.000  0.500  0.000
Mn  0.500  0.000  0.000
Mn  0.500  0.500  0.500
C  0.243  0.157  0.970
C  0.243  0.343  0.470
C  0.312  0.721  0.466
C  0.312  0.779  0.966
C  0.375  0.013  0.810
C  0.375  0.487  0.310
C  0.625  0.513  0.690
C  0.625  0.987  0.190
C  0.688  0.221  0.034
C  0.688  0.279  0.534
C  0.757  0.657  0.530
C  0.757  0.843  0.030
N  0.095  0.236  0.457
N  0.095  0.264  0.957
N  0.190  0.647  0.951
N  0.190  0.853  0.451
N  0.280  0.021  0.690
N  0.280  0.479  0.190
N  0.720  0.521  0.810
N  0.720  0.979  0.310
N  0.810  0.147  0.549
N  0.810  0.353  0.049
N  0.905  0.736  0.043
N  0.905  0.764  0.543

Properties
The formation energy is -0.23 eV/atom. The space group is P2_1/c, No. 14. The magnetic moment is 1.00 μB/f.u.


[2]
Density functional theory data (PBE-GGA) for K3MnC6N6 after structural relaxation.

Lattice parameters (Å, degrees): 7.198 10.671 8.448 90.00 106.97 90.00
Element x y z (fractional)
K  0.000  0.000  0.000
K  0.000  0.500  0.500
K  0.500  0.227  0.124
K  0.500  0.273  0.624
K  0.500  0.727  0.376
K  0.500  0.773  0.876
Mn  0.000  0.000  0.500
Mn  0.000  0.500  0.000
C  0.122  0.667  0.030
C  0.122  0.833  0.530
C  0.185  0.055  0.709
C  0.185  0.445  0.209
C  0.186  0.056  0.384
C  0.186  0.444  0.884
C  0.814  0.556  0.116
C  0.814  0.944  0.616
C  0.815  0.555  0.791
C  0.815  0.945  0.291
C  0.878  0.167  0.470
C  0.878  0.333  0.970
N  0.200  0.735  0.549
N  0.200  0.765  0.049
N  0.293  0.087  0.836
N  0.293  0.413  0.336
N  0.295  0.089  0.312
N  0.295  0.411  0.812
N  0.705  0.589  0.188
N  0.705  0.911  0.688
N  0.707  0.587  0.664
N  0.707  0.913  0.164
N  0.800  0.235  0.951
N  0.800  0.265  0.451

Properties
The formation energy is -0.25 eV/atom. The space group is P2_1/c, No. 14. The magnetic moment is 2.00 μB/f.u.


[3]
Density functional theory data (PBE-GGA) for KC2N3 after structural relaxation.

Lattice parameters (Å, degrees): 8.554 4.034 12.737 90.00 90.00 90.00
Element x y z (fractional)
K  0.124  0.250  0.131
K  0.376  0.750  0.631
K  0.624  0.250  0.369
K  0.876  0.750  0.869
C  0.011  0.250  0.628
C  0.239  0.250  0.874
C  0.261  0.750  0.374
C  0.489  0.750  0.128
C  0.511  0.250  0.872
C  0.739  0.250  0.626
C  0.761  0.750  0.126
C  0.989  0.750  0.372
N  0.108  0.250  0.904
N  0.126  0.750  0.328
N  0.145  0.250  0.604
N  0.355  0.750  0.104
N  0.374  0.250  0.828
N  0.392  0.750  0.404
N  0.608  0.250  0.596
N  0.626  0.750  0.172
N  0.645  0.250  0.896
N  0.855  0.750  0.396
N  0.874  0.250  0.672
N  0.892  0.750  0.096

Properties
For the energy above the most stable polymorph in this dataset, the calculation gives 120 meV per atom. The formation energy is -0.27 eV/atom. The space group is Pnma, No. 62. The magnetic moment is 0.00 μB/f.u.


[4]
Density functional theory data (PBE-GGA) for KC2N3 after structural relaxation.

Lattice parameters (Å, degrees): 5.456 19.359 6.579 90.00 123.90 90.00
Element x y z (fractional)
K  0.231  0.133  0.115
K  0.231  0.367  0.615
K  0.769  0.633  0.385
K  0.769  0.867  0.885
C  0.026  0.129  0.617
C  0.026  0.371  0.117
C  0.203  0.689  0.290
C  0.203  0.811  0.790
C  0.797  0.189  0.210
C  0.797  0.311  0.710
C  0.974  0.629  0.883
C  0.974  0.871  0.383
N  0.082  0.659  0.081
N  0.082  0.841  0.581
N  0.330  0.711  0.495
N  0.330  0.789  0.995
N  0.411  0.516  0.495
N  0.411  0.984  0.995
N  0.589  0.016  0.005
N  0.589  0.484  0.505
N  0.670  0.211  0.005
N  0.670  0.289  0.505
N  0.918  0.159  0.419
N  0.918  0.341  0.919

Properties
For the energy above the most stable polymorph in this dataset, the calculation gives 728 meV per atom. The formation energy is 0.34 eV/atom. The space group is P2_1/c, No. 14. The magnetic moment is 0.94 μB/f.u.


[5]
Density functional theory data (PBE-GGA) for KC2N3 after structural relaxation.

Lattice parameters (Å, degrees): 8.444 6.633 7.432 90.00 90.00 90.00
Element x y z (fractional)
K  0.182  0.250  0.000
K  0.182  0.250  0.500
K  0.818  0.750  0.000
K  0.818  0.750  0.500
C  0.181  0.735  0.250
C  0.181  0.765  0.750
C  0.437  0.643  0.750
C  0.437  0.857  0.250
C  0.563  0.143  0.750
C  0.563  0.357  0.250
C  0.819  0.235  0.250
C  0.819  0.265  0.750
N  0.075  0.617  0.250
N  0.075  0.883  0.750
N  0.283  0.619  0.750
N  0.283  0.881  0.250
N  0.423  0.145  0.750
N  0.423  0.355  0.250
N  0.577  0.645  0.750
N  0.577  0.855  0.250
N  0.717  0.119  0.750
N  0.717  0.381  0.250
N  0.925  0.117  0.250
N  0.925  0.383  0.750

Properties
For the energy above the most stable polymorph in this dataset, the calculation gives 126 meV per atom. The formation energy is -0.26 eV/atom. The space group is Pbcm, No. 57. The magnetic moment is 0.00 μB/f.u.


[6]
Density functional theory data (PBE-GGA) for KC4N3 after structural relaxation.

Lattice parameters (Å, degrees): 3.997 8.770 9.141 74.84 84.42 88.80
Element x y z (fractional)
K  0.218  0.328  0.201
K  0.782  0.672  0.799
C  0.314  0.034  0.792
C  0.328  0.310  0.803
C  0.399  0.193  0.725
C  0.446  0.763  0.425
C  0.554  0.237  0.575
C  0.601  0.807  0.275
C  0.672  0.690  0.197
C  0.686  0.966  0.208
N  0.247  0.900  0.843
N  0.271  0.411  0.864
N  0.317  0.728  0.550
N  0.683  0.272  0.450
N  0.729  0.589  0.136
N  0.753  0.100  0.157

Properties
The formation energy is -0.03 eV/atom. The space group is P-1, No. 2. The magnetic moment is 0.00 μB/f.u.


[7]
Density functional theory data (PBE-GGA) for KC2N3 after structural relaxation.

Lattice parameters (Å, degrees): 3.903 16.278 6.913 90.00 99.43 90.00
Element x y z (fractional)
K  0.157  0.096  0.325
K  0.157  0.404  0.825
K  0.843  0.596  0.175
K  0.843  0.904  0.675
C  0.371  0.715  0.542
C  0.371  0.785  0.042
C  0.451  0.087  0.844
C  0.451  0.413  0.344
C  0.549  0.587  0.656
C  0.549  0.913  0.156
C  0.629  0.215  0.958
C  0.629  0.285  0.458
N  0.305  0.715  0.055
N  0.305  0.785  0.555
N  0.348  0.037  0.726
N  0.348  0.463  0.226
N  0.436  0.638  0.513
N  0.436  0.862  0.013
N  0.564  0.138  0.987
N  0.564  0.362  0.487
N  0.652  0.537  0.774
N  0.652  0.963  0.274
N  0.695  0.215  0.445
N  0.695  0.285  0.945

Properties
For the energy above the most stable polymorph in this dataset, the calculation gives 120 meV per atom. The formation energy is -0.27 eV/atom. The space group is P2_1/c, No. 14. The magnetic moment is 0.00 μB/f.u.


> Which value of magnetic moment does entry 3 give?

0.00 μB/f.u.


> Among the records above, which one has the highest magnetic moment?

K3MnC6N6